The following is a GGA-PBE calculation of Li2TiO2F6 after structural relaxation, from the Materials Project.

Results
Total energy after the MP2020 corrections = -5.451 eV per atom
Magnetic moment = 4.00 μB per formula unit
Theoretical density = 2.462 g cm⁻³
Formation energy = -2442 meV per atom

Cell: 5.606 5.606 4.600 Å, 87.58 87.58 76.07°
Fractional coordinates of all 11 atoms:
Li 0.000 0.500 0.500
F 0.825 0.825 0.274
Ti 0.000 0.000 0.000
F 0.898 0.287 0.216
F 0.102 0.713 0.784
O 0.649 0.649 0.703
F 0.175 0.175 0.726
F 0.287 0.898 0.216
F 0.713 0.102 0.784
O 0.351 0.351 0.297
Li 0.500 0.000 0.500